First-principles (GGA+U) data for a geometry-optimized Rb2CrHgF6 structure, as listed in the Materials Project.

a b c (Å): 6.6572 6.6572 6.6572
angles (deg): 60.00 60.00 60.00
Positions (direct):
Rb1 0.2500 0.2500 0.2500
Rb2 0.7500 0.7500 0.7500
Cr1 0.0000 0.0000 0.0000
Hg1 0.5000 0.5000 0.5000
F1 0.1987 0.8013 0.1987
F2 0.8013 0.8013 0.1987
F3 0.8013 0.1987 0.8013
F4 0.8013 0.1987 0.1987
F5 0.1987 0.8013 0.8013
F6 0.1987 0.1987 0.8013

Computed properties:
E_tot = -0.3259 Ry/atom
Spin magnetization = 3.678 μB/f.u.
MP2020-corrected energy = -4.9108 eV/atom
Formation energy = -2.5702 eV/atom
Calculated volume = 20.9 Å³/atom

=====

First-principles (GGA+U) data for a geometry-optimized KCrF3 structure, as listed in the Materials Project.

a b c (Å): 4.0936 4.0936 4.6006
angles (deg): 90.00 90.00 90.00
Positions (direct):
K1 0.5000 0.5000 0.5000
Cr1 0.0000 0.0000 0.0000
F1 0.0000 0.0000 0.5000
F2 0.0000 0.5000 0.0000
F3 0.5000 0.0000 0.0000

Computed properties:
E_tot = -0.4064 Ry/atom
Spin magnetization = 3.999 μB/f.u.
MP2020-corrected energy = -6.2066 eV/atom
Formation energy = -2.9051 eV/atom
Calculated volume = 15.4 Å³/atom

=====

First-principles (GGA+U) data for a geometry-optimized K3CrF3 structure, as listed in the Materials Project.

a b c (Å): 5.7593 6.0482 6.1345
angles (deg): 98.78 115.03 114.16
Positions (direct):
K1 0.5071 0.7562 0.2618
K2 0.0121 0.5169 0.5110
K3 0.5090 0.2577 0.7502
Cr1 0.0474 0.0454 0.0375
F1 0.0546 0.2738 0.8295
F2 0.5730 0.7601 0.7232
F3 0.0168 0.8200 0.2468

Computed properties:
E_tot = -0.3136 Ry/atom
Spin magnetization = 4.000 μB/f.u.
MP2020-corrected energy = -4.7508 eV/atom
Formation energy = -2.0754 eV/atom
Calculated volume = 23.2 Å³/atom

=====

First-principles (GGA+U) data for a geometry-optimized KCrF3 structure, as listed in the Materials Project.

a b c (Å): 5.9918 5.9918 5.9545
angles (deg): 62.20 62.20 93.95
Positions (direct):
K1 0.7487 0.2513 0.0000
K2 0.2513 0.7487 0.0000
Cr1 0.5000 0.5000 0.5000
Cr2 0.0000 0.0000 0.5000
F1 0.7302 0.2698 0.5000
F2 0.7194 0.7194 0.5619
F3 0.2806 0.2806 0.4381
F4 0.8000 0.8000 0.9604
F5 0.2698 0.7302 0.5000
F6 0.2000 0.2000 0.0396

Computed properties:
E_tot = -0.4084 Ry/atom
MP2020-corrected energy = -6.2334 eV/atom
Formation energy = -2.9319 eV/atom
Calculated volume = 15.6 Å³/atom

=====

First-principles (GGA+U) data for a geometry-optimized K2CrF5 structure, as listed in the Materials Project.

a b c (Å): 7.4836 13.0510 20.6146
angles (deg): 90.00 90.00 90.00
Positions (direct):
K1 0.0000 0.5737 0.2500
K2 0.0000 0.4263 0.7500
K3 0.5000 0.9263 0.7500
K4 0.5000 0.0737 0.2500
K5 0.0000 0.0373 0.2500
K6 0.0000 0.9627 0.7500
K7 0.5000 0.4627 0.7500
K8 0.5000 0.5373 0.2500
K9 0.1463 0.2882 0.1633
K10 0.8537 0.7118 0.8367
K11 0.3537 0.2118 0.6633
K12 0.8537 0.2882 0.3367
K13 0.6463 0.7882 0.3367
K14 0.1463 0.7118 0.6633
K15 0.6463 0.2118 0.8367
K16 0.3537 0.7882 0.1633
K17 0.5114 0.2683 0.0066
K18 0.4886 0.7317 0.9934
K19 0.9886 0.2317 0.5066
K20 0.4886 0.2683 0.4934
K21 0.0114 0.7683 0.4934
K22 0.5114 0.7317 0.5066
K23 0.0114 0.2317 0.9934
K24 0.9886 0.7683 0.0066
K25 0.3418 0.0214 0.4163
K26 0.6582 0.9786 0.5837
K27 0.1582 0.4786 0.9163
K28 0.6582 0.0214 0.0837
K29 0.8418 0.5214 0.0837
K30 0.3418 0.9786 0.9163
K31 0.8418 0.4786 0.5837
K32 0.1582 0.5214 0.4163
Cr1 0.1655 0.0003 0.0776
Cr2 0.8345 0.9997 0.9224
Cr3 0.3345 0.4997 0.5776
Cr4 0.8345 0.0003 0.4224
Cr5 0.6655 0.5003 0.4224
Cr6 0.1655 0.9997 0.5776
Cr7 0.6655 0.4997 0.9224
Cr8 0.3345 0.5003 0.0776
Cr9 0.3402 0.3042 0.3283
Cr10 0.6598 0.6958 0.6717
Cr11 0.1598 0.1958 0.8283
Cr12 0.6598 0.3042 0.1717
Cr13 0.8402 0.8042 0.1717
Cr14 0.3402 0.6958 0.8283
Cr15 0.8402 0.1958 0.6717
Cr16 0.1598 0.8042 0.3283
F1 0.2193 0.3794 0.0398
F2 0.7807 0.6206 0.9602
F3 0.2807 0.1206 0.5398
F4 0.7807 0.3794 0.4602
F5 0.7193 0.8794 0.4602
F6 0.2193 0.6206 0.5398
F7 0.7193 0.1206 0.9602
F8 0.2807 0.8794 0.0398
F9 0.2041 0.4204 0.2964
F10 0.7959 0.5796 0.7036
F11 0.2959 0.0796 0.7964
F12 0.7959 0.4204 0.2036
F13 0.7041 0.9204 0.2036
F14 0.2041 0.5796 0.7964
F15 0.7041 0.0796 0.7036
F16 0.2959 0.9204 0.2964
F17 0.5066 0.1975 0.1401
F18 0.4934 0.8025 0.8599
F19 0.9934 0.3025 0.6401
F20 0.4934 0.1975 0.3599
F21 0.0066 0.6975 0.3599
F22 0.5066 0.8025 0.6401
F23 0.0066 0.3025 0.8599
F24 0.9934 0.6975 0.1401
F25 0.1819 0.4928 0.1515
F26 0.8181 0.5072 0.8485
F27 0.3181 0.0072 0.6515
F28 0.8181 0.4928 0.3485
F29 0.6819 0.9928 0.3485
F30 0.1819 0.5072 0.6515
F31 0.6819 0.0072 0.8485
F32 0.3181 0.9928 0.1515
F33 0.0000 0.0000 0.0000
F34 0.5000 0.5000 0.5000
F35 0.0000 0.0000 0.5000
F36 0.5000 0.5000 0.0000
F37 0.0000 0.8219 0.2500
F38 0.0000 0.1781 0.7500
F39 0.5000 0.6781 0.7500
F40 0.5000 0.3219 0.2500
F41 0.1908 0.2983 0.4035
F42 0.8092 0.7017 0.5965
F43 0.3092 0.2017 0.9035
F44 0.8092 0.2983 0.0965
F45 0.6908 0.7983 0.0965
F46 0.1908 0.7017 0.9035
F47 0.6908 0.2017 0.5965
F48 0.3092 0.7983 0.4035
F49 0.0284 0.1111 0.1125
F50 0.9716 0.8889 0.8875
F51 0.4716 0.3889 0.6125
F52 0.9716 0.1111 0.3875
F53 0.5284 0.6111 0.3875
F54 0.0284 0.8889 0.6125
F55 0.5284 0.3889 0.8875
F56 0.4716 0.6111 0.1125
F57 0.2020 0.2061 0.2793
F58 0.7980 0.7939 0.7207
F59 0.2980 0.2939 0.7793
F60 0.7980 0.2061 0.2207
F61 0.7020 0.7061 0.2207
F62 0.2020 0.7939 0.7793
F63 0.7020 0.2939 0.7207
F64 0.2980 0.7061 0.2793
F65 0.5050 0.4048 0.1233
F66 0.4950 0.5952 0.8767
F67 0.9950 0.0952 0.6233
F68 0.4950 0.4048 0.3767
F69 0.0050 0.9048 0.3767
F70 0.5050 0.5952 0.6233
F71 0.0050 0.0952 0.8767
F72 0.9950 0.9048 0.1233
F73 0.3209 0.0894 0.0303
F74 0.6791 0.9106 0.9697
F75 0.1791 0.4106 0.5303
F76 0.6791 0.0894 0.4697
F77 0.8209 0.5894 0.4697
F78 0.3209 0.9106 0.5303
F79 0.8209 0.4106 0.9697
F80 0.1791 0.5894 0.0303

Computed properties:
E_tot = -0.3862 Ry/atom
Spin magnetization = 0.000 μB/f.u.
MP2020-corrected energy = -5.7929 eV/atom
Formation energy = -3.1121 eV/atom
Calculated volume = 15.7 Å³/atom

=====

First-principles (GGA+U) data for a geometry-optimized KCrF3 structure, as listed in the Materials Project.

a b c (Å): 6.0551 6.0551 6.0551
angles (deg): 121.03 121.03 88.23
Positions (direct):
K1 0.2500 0.7500 0.5000
K2 0.7500 0.2500 0.5000
Cr1 0.5000 0.5000 0.0000
Cr2 0.0000 0.0000 0.0000
F1 0.2305 0.2305 0.0000
F2 0.7695 0.7695 0.0000
F3 0.2670 0.7510 0.0180
F4 0.7330 0.2490 0.9820
F5 0.2490 0.2670 0.5159
F6 0.7510 0.7330 0.4841

Computed properties:
E_tot = -0.4080 Ry/atom
MP2020-corrected energy = -6.2285 eV/atom
Formation energy = -2.9270 eV/atom
Calculated volume = 15.4 Å³/atom

=====

First-principles (GGA+U) data for a geometry-optimized KCrF3 structure, as listed in the Materials Project.

a b c (Å): 5.9800 5.9800 5.9800
angles (deg): 118.30 118.30 92.96
Positions (direct):
K1 0.2500 0.2500 0.0000
K2 0.7500 0.7500 0.0000
Cr1 0.0000 0.5000 0.5000
Cr2 0.5000 0.0000 0.5000
F1 0.7673 0.2673 0.0346
F2 0.7327 0.7673 0.5000
F3 0.2673 0.2327 0.5000
F4 0.2327 0.7327 0.9654
F5 0.7500 0.2500 0.5000
F6 0.2500 0.7500 0.5000

Computed properties:
E_tot = -0.4082 Ry/atom
MP2020-corrected energy = -6.2306 eV/atom
Formation energy = -2.9292 eV/atom
Calculated volume = 15.5 Å³/atom

=====

First-principles (GGA+U) data for a geometry-optimized KCrF3 structure, as listed in the Materials Project.

a b c (Å): 4.2196 4.2196 4.2196
angles (deg): 90.00 90.00 90.00
Positions (direct):
K1 0.5000 0.5000 0.5000
Cr1 0.0000 0.0000 0.0000
F1 0.5000 0.0000 0.0000
F2 0.0000 0.0000 0.5000
F3 0.0000 0.5000 0.0000

Computed properties:
E_tot = -0.4020 Ry/atom
Spin magnetization = 4.003 μB/f.u.
MP2020-corrected energy = -6.1468 eV/atom
Formation energy = -2.8454 eV/atom
Calculated volume = 15.0 Å³/atom

=====

First-principles (GGA+U) data for a geometry-optimized KCrF6 structure, as listed in the Materials Project.

a b c (Å): 5.0059 5.0059 5.0059
angles (deg): 97.97 97.97 97.97
Positions (direct):
K1 0.0000 0.0000 0.0000
Cr1 0.5000 0.5000 0.5000
F1 0.5820 0.2254 0.2682
F2 0.2682 0.5820 0.2254
F3 0.7746 0.7318 0.4180
F4 0.7318 0.4180 0.7746
F5 0.4180 0.7746 0.7318
F6 0.2254 0.2682 0.5820

Computed properties:
E_tot = -0.3532 Ry/atom
MP2020-corrected energy = -5.4023 eV/atom
Formation energy = -2.6209 eV/atom
Calculated volume = 15.2 Å³/atom

=====

First-principles (GGA+U) data for a geometry-optimized KCrF3 structure, as listed in the Materials Project.

a b c (Å): 5.9771 5.9771 5.9771
angles (deg): 118.61 118.15 92.83
Positions (direct):
K1 0.2500 0.2500 0.0000
K2 0.7500 0.7500 0.0000
Cr1 0.5000 0.0000 0.5000
Cr2 0.0000 0.5000 0.5000
F1 0.7788 0.7451 0.5239
F2 0.2212 0.2549 0.4761
F3 0.2788 0.7549 0.0338
F4 0.7212 0.2451 0.9662
F5 0.7500 0.2500 0.5000
F6 0.2500 0.7500 0.5000

Computed properties:
E_tot = -0.4082 Ry/atom
MP2020-corrected energy = -6.2308 eV/atom
Formation energy = -2.9294 eV/atom
Calculated volume = 15.4 Å³/atom

=====

First-principles (GGA+U) data for a geometry-optimized KCrNiOF6 structure, as listed in the Materials Project.

a b c (Å): 7.4640 7.4640 7.4640
angles (deg): 119.68 118.70 91.42
Positions (direct):
K1 0.5000 0.5000 0.0000
K2 0.0000 0.5000 0.5000
Cr1 0.0000 0.0000 0.0000
Cr2 0.5000 0.0000 0.5000
Ni1 0.5000 0.0000 0.0000
Ni2 0.5000 0.5000 0.5000
O1 0.9613 0.7113 0.2500
O2 0.0387 0.2887 0.7500
F1 0.5635 0.9348 0.2560
F2 0.1789 0.9348 0.8714
F3 0.5738 0.3238 0.2500
F4 0.1789 0.3075 0.2440
F5 0.5635 0.3075 0.6286
F6 0.1879 0.9379 0.2500
F7 0.4365 0.0652 0.7440
F8 0.8211 0.0652 0.1286
F9 0.4262 0.6762 0.7500
F10 0.8211 0.6925 0.7560
F11 0.4365 0.6925 0.3714
F12 0.8121 0.0621 0.7500

Computed properties:
E_tot = -0.3542 Ry/atom
Spin magnetization = 7.000 μB/f.u.
MP2020-corrected energy = -5.6193 eV/atom
Formation energy = -2.3214 eV/atom
Calculated volume = 14.9 Å³/atom

=====

First-principles (GGA+U) data for a geometry-optimized K2U2Cr2O15F2 structure, as listed in the Materials Project.

a b c (Å): 9.5768 13.1127 13.4882
angles (deg): 101.49 90.00 90.00
Positions (direct):
K1 0.8504 0.0745 0.4194
K2 0.3504 0.4255 0.5806
K3 0.1496 0.9255 0.5806
K4 0.6496 0.5745 0.4194
K5 0.1205 0.6738 0.0181
K6 0.6205 0.8262 0.9819
K7 0.8795 0.3262 0.9819
K8 0.3795 0.1738 0.0181
U1 0.1761 0.9310 0.2536
U2 0.6761 0.5690 0.7464
U3 0.8239 0.0690 0.7464
U4 0.3239 0.4310 0.2536
U5 0.8104 0.7901 0.2524
U6 0.3104 0.7099 0.7476
U7 0.1896 0.2099 0.7476
U8 0.6896 0.2901 0.2524
Cr1 0.9524 0.5188 0.2249
Cr2 0.4524 0.9812 0.7751
Cr3 0.0476 0.4812 0.7751
Cr4 0.5476 0.0188 0.2249
Cr5 0.0630 0.2089 0.2207
Cr6 0.5630 0.2911 0.7793
Cr7 0.9370 0.7911 0.7793
Cr8 0.4370 0.7089 0.2207
O1 0.1333 0.9738 0.3880
O2 0.6333 0.5262 0.6120
O3 0.8667 0.0262 0.6120
O4 0.3667 0.4738 0.3880
O5 0.2072 0.8848 0.1193
O6 0.7072 0.6152 0.8807
O7 0.7928 0.1152 0.8807
O8 0.2928 0.3848 0.1193
O9 0.8168 0.8465 0.3873
O10 0.3168 0.6535 0.6127
O11 0.1832 0.1535 0.6127
O12 0.6832 0.3465 0.3873
O13 0.8089 0.7389 0.1168
O14 0.3089 0.7611 0.8832
O15 0.1911 0.2611 0.8832
O16 0.6911 0.2389 0.1168
O17 0.8637 0.6250 0.2847
O18 0.3637 0.8750 0.7153
O19 0.1363 0.3750 0.7153
O20 0.6363 0.1250 0.2847
O21 0.1057 0.5105 0.2821
O22 0.6057 0.9895 0.7179
O23 0.8943 0.4895 0.7179
O24 0.3943 0.0105 0.2821
O25 0.8565 0.4122 0.2284
O26 0.3565 0.0878 0.7716
O27 0.1435 0.5878 0.7716
O28 0.6435 0.9122 0.2284
O29 0.9807 0.5246 0.1080
O30 0.4807 0.9754 0.8920
O31 0.0193 0.4754 0.8920
O32 0.5193 0.0246 0.1080
O33 0.1646 0.3049 0.2839
O34 0.6646 0.1951 0.7161
O35 0.8354 0.6951 0.7161
O36 0.3354 0.8049 0.2839
O37 0.9039 0.2121 0.2759
O38 0.4039 0.2879 0.7241
O39 0.0961 0.7879 0.7241
O40 0.5961 0.7121 0.2759
O41 0.1401 0.0945 0.2232
O42 0.6401 0.4055 0.7768
O43 0.8599 0.9055 0.7768
O44 0.3599 0.5945 0.2232
O45 0.0485 0.2217 0.1046
O46 0.5485 0.2783 0.8954
O47 0.9515 0.7783 0.8954
O48 0.4515 0.7217 0.1046
O49 0.3509 0.5100 0.9631
O50 0.8509 0.9900 0.0369
O51 0.6491 0.4900 0.0369
O52 0.1491 0.0100 0.9631
O53 0.5226 0.0441 0.5031
O54 0.0226 0.4559 0.4969
O55 0.4774 0.9559 0.4969
O56 0.9774 0.5441 0.5031
O57 0.8649 0.2839 0.5517
O58 0.3649 0.2161 0.4483
O59 0.1351 0.7161 0.4483
O60 0.6351 0.7839 0.5517
F1 0.0540 0.7734 0.2454
F2 0.5540 0.7266 0.7546
F3 0.9460 0.2266 0.7546
F4 0.4460 0.2734 0.2454
F5 0.9307 0.9429 0.2314
F6 0.4307 0.5571 0.7686
F7 0.0693 0.0571 0.7686
F8 0.5693 0.4429 0.2314

Computed properties:
E_tot = -0.5031 Ry/atom
Spin magnetization = 4.000 μB/f.u.
MP2020-corrected energy = -7.1644 eV/atom
Formation energy = -1.8532 eV/atom
Calculated volume = 18.0 Å³/atom

=====

First-principles (GGA+U) data for a geometry-optimized K2RbCrF6 structure, as listed in the Materials Project.

a b c (Å): 6.4474 6.4474 6.4474
angles (deg): 60.00 60.00 60.00
Positions (direct):
K1 0.2500 0.2500 0.2500
K2 0.7500 0.7500 0.7500
Rb1 0.5000 0.5000 0.5000
Cr1 0.0000 0.0000 0.0000
F1 0.2120 0.7880 0.2120
F2 0.7880 0.7880 0.2120
F3 0.7880 0.2120 0.7880
F4 0.7880 0.2120 0.2120
F5 0.2120 0.7880 0.7880
F6 0.2120 0.2120 0.7880

Computed properties:
E_tot = -0.3675 Ry/atom
Spin magnetization = 3.000 μB/f.u.
MP2020-corrected energy = -5.4775 eV/atom
Formation energy = -3.0433 eV/atom
Calculated volume = 19.0 Å³/atom